This record from the Materials Project describes a relaxed K3As2O11 crystal. The functional is GGA-PBE.

Space-group type = No. 29
DFT formation energy = -0.91 eV per atom
Total energy after the MP2020 corrections = -5.106 eV/atom

abc: 8.8960 11.4780 13.8980
angles: 90.00 90.00 90.00
Closest atoms and distances in Å follow each position.
Positions (direct):
O: 0.5226 0.8251 0.5292  1 O 1.24
K: 0.1646 0.6115 0.1838  3 O 2.58-2.89
K: 0.7434 0.6164 0.4625  2 O 2.70-2.82
O: 0.0725 0.3444 0.5229  1 O 1.25
O: 0.2398 0.4267 0.3595  1 As 1.65
O: 0.3175 0.1090 0.6615  1 As 1.69
O: 0.4557 0.9725 0.2998  2 As 1.85
O: 0.7630 0.3258 0.2168  1 As 1.67
O: 0.9360 0.6188 0.3119  3 K 2.55-2.70
O: 0.5085 0.9295 0.5510  1 O 1.24
O: 0.4774 0.1749 0.0292  1 O 1.24
O: 0.5443 0.0275 0.7998  2 As 1.85
O: 0.5443 0.4725 0.2998  2 As 1.85
O: 0.5226 0.6749 0.0292  1 O 1.24
O: 0.2370 0.8258 0.2168  1 As 1.67
O: 0.7630 0.1742 0.7168  1 As 1.67
O: 0.4915 0.0705 0.0510  1 O 1.24
O: 0.2610 0.8414 0.4262  1 As 1.66
O: 0.2398 0.0733 0.8595  1 As 1.65
O: 0.0287 0.4470 0.5144  1 O 1.25
O: 0.6825 0.8910 0.1615  1 As 1.69
O: 0.9275 0.8444 0.5229  1 O 1.25
As: 0.3382 0.6589 0.8175  3 O 1.66-1.85
O: 0.0640 0.1188 0.3119  3 K 2.55-2.70
K: 0.1646 0.8885 0.6838  3 O 2.58-2.89
As: 0.3680 0.1090 0.7785  4 O 1.65-1.85
O: 0.6825 0.6090 0.6615  1 As 1.69
K: 0.2703 0.4084 0.6862  3 O 2.55-2.73
O: 0.7390 0.3414 0.4262  1 As 1.66
K: 0.7434 0.8836 0.9625  2 O 2.70-2.82
K: 0.8354 0.3885 0.6838  3 O 2.58-2.89
O: 0.4915 0.4295 0.5510  1 O 1.24
O: 0.4798 0.2598 0.3072  2 As 1.85-1.87
O: 0.4774 0.3251 0.5292  1 O 1.24
O: 0.7602 0.9267 0.3595  1 As 1.65
O: 0.0725 0.1556 0.0229  1 O 1.25
O: 0.9360 0.8812 0.8119  3 K 2.55-2.70
O: 0.0640 0.3812 0.8119  3 K 2.55-2.70
O: 0.4557 0.5275 0.7998  2 As 1.85
K: 0.7297 0.5916 0.1862  3 O 2.55-2.73
O: 0.5202 0.7402 0.8072  2 As 1.85-1.87
K: 0.8354 0.1115 0.1838  3 O 2.58-2.89
O: 0.0287 0.0530 0.0144  1 O 1.25
K: 0.2566 0.1164 0.4625  2 O 2.70-2.82
K: 0.2703 0.0916 0.1862  3 O 2.55-2.73
O: 0.2370 0.6742 0.7168  1 As 1.67
K: 0.7297 0.9084 0.6862  3 O 2.55-2.73
O: 0.7390 0.1586 0.9262  1 As 1.66
As: 0.6618 0.1589 0.8175  3 O 1.66-1.85
O: 0.5085 0.5705 0.0510  1 O 1.24
O: 0.2610 0.6586 0.9262  1 As 1.66
O: 0.9713 0.9470 0.5144  1 O 1.25
As: 0.3382 0.8411 0.3175  3 O 1.66-1.85
O: 0.4798 0.2402 0.8072  2 As 1.85-1.87
K: 0.2566 0.3836 0.9625  2 O 2.70-2.82
O: 0.7602 0.5733 0.8595  1 As 1.65
As: 0.3680 0.3910 0.2785  4 O 1.65-1.85
O: 0.9713 0.5530 0.0144  1 O 1.25
O: 0.9275 0.6556 0.0229  1 O 1.25
As: 0.6320 0.8910 0.2785  4 O 1.65-1.85
As: 0.6320 0.6090 0.7785  4 O 1.65-1.85
As: 0.6618 0.3411 0.3175  3 O 1.66-1.85
O: 0.5202 0.7598 0.3072  2 As 1.85-1.87
O: 0.3175 0.3910 0.1615  1 As 1.69